Entry from the Materials Project: a relaxed structure of RbSNO4 (PBE).

Calculated values
Total magnetization = 8.008 μB per cell
Energy = -5.19 eV/atom

a = 7.916 Å, b = 6.065 Å, c = 10.912 Å
α = 90.00°, β = 90.00°, γ = 90.00°
Fractional positions:
Rb: 0.183 0.250 0.093
Rb: 0.317 0.750 0.593
Rb: 0.683 0.250 0.407
Rb: 0.817 0.750 0.907
S: 0.230 0.250 0.421
S: 0.270 0.750 0.921
S: 0.730 0.250 0.079
S: 0.770 0.750 0.579
N: 0.015 0.750 0.305
N: 0.485 0.250 0.805
N: 0.515 0.750 0.195
N: 0.985 0.250 0.695
O: 0.043 0.250 0.413
O: 0.204 0.551 0.855
O: 0.204 0.949 0.855
O: 0.214 0.750 0.050
O: 0.286 0.250 0.550
O: 0.296 0.051 0.355
O: 0.296 0.449 0.355
O: 0.457 0.750 0.913
O: 0.543 0.250 0.087
O: 0.704 0.551 0.645
O: 0.704 0.949 0.645
O: 0.714 0.750 0.450
O: 0.786 0.250 0.950
O: 0.796 0.051 0.145
O: 0.796 0.449 0.145
O: 0.957 0.750 0.587